34
Lattice="8.415 0.000 0.000 4.206 7.306 0.000 4.144 2.406 7.547" Properties=species:S:1:pos:R:3 comment="MgCr3Se2S4O24, relaxed, DFT GGA+U" magmom_total_mub_per_atom=0.24 corrected_energy_ev_per_atom=-6.921 ef_ev_per_atom=-1.8375 spacegroup="P1, No. 1" energy_ev_per_atom=-6.26 pbc="T T T"
Mg 0.000 0.000 0.000
Cr 4.278 2.408 0.851
Cr 8.385 4.768 3.795
Cr 12.590 7.272 4.819
Se 6.658 7.229 2.372
Se 11.358 5.145 2.357
S 6.000 4.881 6.175
S 9.610 6.861 6.149
S 7.217 2.067 2.395
S 9.529 2.707 6.178
O 5.923 7.400 3.862
O 5.517 3.550 6.511
O 4.122 3.974 2.007
O 6.924 5.434 7.243
O 2.968 1.494 2.011
O 5.691 6.568 1.222
O 8.672 7.924 6.473
O 6.722 4.844 4.885
O 8.007 6.264 2.532
O 9.676 5.792 7.223
O 9.235 6.213 4.874
O 5.788 1.789 2.000
O 8.602 3.210 7.261
O 7.334 3.529 2.619
O 10.985 7.399 6.035
O 7.438 1.352 3.678
O 9.156 3.328 4.893
O 13.485 8.560 6.089
O 9.901 4.359 2.553
O 8.135 1.629 1.348
O 10.925 2.992 6.471
O 11.850 5.704 3.852
O 11.220 6.291 1.192
O 13.294 5.842 6.080



160
Lattice="11.142 0.000 0.000 0.000 22.740 0.000 0.000 0.000 12.793" Properties=species:S:1:pos:R:3 comment="Rb4ZnMo3O12, relaxed, DFT GGA+U" magmom_total_mub_per_atom=0.00 corrected_energy_ev_per_atom=-6.992 ef_ev_per_atom=-2.1378 spacegroup="Pbca, No. 61" energy_ev_per_atom=-6.10 pbc="T T T"
Rb 0.780 3.648 1.349
Rb 0.780 7.722 7.746
Rb 0.907 12.011 8.023
Rb 0.907 22.099 1.626
Rb 0.941 12.084 1.590
Rb 0.941 22.027 7.986
Rb 1.101 3.576 7.988
Rb 1.101 7.794 1.591
Rb 4.469 14.946 7.988
Rb 4.469 19.164 1.591
Rb 4.630 0.714 1.590
Rb 4.630 10.656 7.986
Rb 4.663 0.641 8.023
Rb 4.663 10.729 1.626
Rb 4.791 15.019 1.349
Rb 4.791 19.092 7.746
Rb 6.351 3.648 5.047
Rb 6.351 7.722 11.444
Rb 6.478 12.011 11.167
Rb 6.478 22.099 4.770
Rb 6.511 12.084 4.807
Rb 6.511 22.027 11.203
Rb 6.672 3.576 11.202
Rb 6.672 7.794 4.805
Rb 10.040 14.946 11.202
Rb 10.040 19.164 4.805
Rb 10.201 0.714 4.807
Rb 10.201 10.656 11.203
Rb 10.234 0.641 11.167
Rb 10.234 10.729 4.770
Rb 10.361 15.019 5.047
Rb 10.361 19.092 11.444
Zn 2.418 5.591 4.097
Zn 2.418 5.780 10.493
Zn 3.152 16.961 4.097
Zn 3.152 17.150 10.493
Zn 7.989 5.591 2.300
Zn 7.989 5.780 8.696
Zn 8.723 16.961 2.300
Zn 8.723 17.150 8.696
Mo 0.866 16.693 8.005
Mo 0.866 17.417 1.609
Mo 2.740 13.492 11.167
Mo 2.740 20.619 4.770
Mo 2.754 2.150 4.818
Mo 2.754 9.220 11.214
Mo 2.817 13.520 4.818
Mo 2.817 20.590 11.214
Mo 2.830 2.122 11.167
Mo 2.830 9.248 4.770
Mo 4.705 5.323 8.005
Mo 4.705 6.047 1.609
Mo 6.437 16.693 11.184
Mo 6.437 17.417 4.788
Mo 8.311 13.492 8.023
Mo 8.311 20.619 1.626
Mo 8.325 2.150 1.579
Mo 8.325 9.220 7.975
Mo 8.388 13.520 1.579
Mo 8.388 20.590 7.975
Mo 8.401 2.122 8.023
Mo 8.401 9.248 1.626
Mo 10.276 5.323 11.184
Mo 10.276 6.047 4.788
O 0.429 16.764 0.021
O 0.429 17.346 6.418
O 0.448 5.579 3.600
O 0.448 5.791 9.997
O 0.920 14.928 7.888
O 0.920 19.183 1.491
O 1.029 12.971 11.221
O 1.029 21.140 4.825
O 1.150 12.889 4.711
O 1.150 21.222 11.107
O 1.873 1.753 3.319
O 1.873 9.617 9.715
O 1.894 1.411 6.205
O 1.894 9.959 12.601
O 2.010 1.521 12.633
O 2.010 9.849 6.236
O 2.056 1.418 9.712
O 2.056 9.952 3.316
O 2.491 16.781 2.191
O 2.491 17.329 8.587
O 2.704 3.956 11.113
O 2.704 7.414 4.716
O 2.761 15.350 5.084
O 2.761 18.761 11.481
O 2.810 3.980 5.084
O 2.810 7.390 11.481
O 2.867 15.327 11.113
O 2.867 18.784 4.716
O 3.080 5.411 2.191
O 3.080 5.959 8.587
O 3.515 12.789 9.712
O 3.515 21.322 3.316
O 3.561 12.891 12.633
O 3.561 21.220 6.236
O 3.676 12.781 6.205
O 3.676 21.330 12.601
O 3.698 13.123 3.319
O 3.698 20.987 9.715
O 4.421 1.519 4.711
O 4.421 9.852 11.107
O 4.542 1.600 11.221
O 4.542 9.770 4.825
O 4.650 3.558 7.888
O 4.650 7.812 1.491
O 5.123 16.949 3.600
O 5.123 17.162 9.997
O 5.142 5.394 0.021
O 5.142 5.976 6.418
O 6.000 16.764 6.376
O 6.000 17.346 12.772
O 6.019 5.579 2.796
O 6.019 5.791 9.193
O 6.491 14.928 11.302
O 6.491 19.183 4.905
O 6.600 12.971 7.968
O 6.600 21.140 1.572
O 6.721 12.889 1.686
O 6.721 21.222 8.082
O 7.444 1.753 3.078
O 7.444 9.617 9.474
O 7.465 1.411 0.192
O 7.465 9.959 6.588
O 7.581 1.521 6.557
O 7.581 9.849 0.160
O 7.627 1.418 9.477
O 7.627 9.952 3.081
O 8.061 16.781 4.206
O 8.061 17.329 10.602
O 8.275 3.956 8.077
O 8.275 7.414 1.680
O 8.332 15.350 1.312
O 8.332 18.761 7.709
O 8.381 3.980 1.312
O 8.381 7.390 7.709
O 8.437 15.327 8.077
O 8.437 18.784 1.680
O 8.651 5.411 4.206
O 8.651 5.959 10.602
O 9.086 12.789 9.477
O 9.086 21.322 3.081
O 9.132 12.891 6.557
O 9.132 21.220 0.160
O 9.247 12.781 0.192
O 9.247 21.330 6.588
O 9.269 13.123 3.078
O 9.269 20.987 9.474
O 9.991 1.519 1.686
O 9.991 9.852 8.082
O 10.113 1.600 7.968
O 10.113 9.770 1.572
O 10.221 3.558 11.302
O 10.221 7.812 4.905
O 10.694 16.949 2.796
O 10.694 17.162 9.193
O 10.712 5.394 6.376
O 10.712 5.976 12.772



19
Lattice="3.069 0.000 0.000 -0.064 5.140 0.000 -0.107 -0.169 14.800" Properties=species:S:1:pos:R:3 comment="MgFe6O6F6, relaxed, DFT GGA+U" magmom_total_mub_per_atom=1.47 corrected_energy_ev_per_atom=-7.046 ef_ev_per_atom=-2.1194 spacegroup="P1, No. 1" energy_ev_per_atom=-5.97 pbc="T T T"
Mg 0.000 0.000 0.000
Fe 1.378 4.640 7.315
Fe 1.420 4.679 2.957
Fe 1.355 4.948 11.422
Fe 2.931 2.446 5.028
Fe 2.926 2.439 9.624
Fe 3.016 2.712 1.306
O 1.395 3.330 5.836
O 1.430 3.932 0.798
O 1.388 3.255 10.576
O 2.917 3.383 3.327
O 2.915 3.901 8.244
O 2.950 0.805 10.836
F 3.045 0.782 1.970
F 1.401 1.187 4.281
F 1.407 1.400 8.585
F 1.457 1.123 14.568
F 2.958 0.670 6.421
F 2.903 4.453 12.888